An optimized crystal structure of Nd2EuSe4, computed with PBE.

a = 7.798 Å, b = 7.798 Å, c = 7.798 Å
α = 109.45°, β = 109.45°, γ = 109.52°
Fractional coordinates of all 14 atoms:
Nd1 0.750 0.375 0.875
Nd2 0.625 0.500 0.375
Nd3 0.125 0.250 0.625
Nd4 0.500 0.875 0.125
Se1 0.520 0.620 0.750
Se2 0.020 0.620 0.750
Se3 0.730 0.980 0.600
Se4 0.870 0.270 0.250
Se5 0.230 0.480 0.100
Se6 0.380 0.130 0.400
Se7 0.380 0.130 0.900
Se8 0.870 0.770 0.250
Eu1 0.000 0.000 0.000
Eu2 0.250 0.750 0.500

Values from the calculation:
SG: I-42d
crystal system: tetragonal

An optimized crystal structure of PuZnAu2, computed with PBE.

a = 4.925 Å, b = 4.925 Å, c = 4.925 Å
α = 60.00°, β = 60.00°, γ = 60.00°
Fractional coordinates of all 4 atoms:
Zn1 0.000 0.000 0.000
Au1 0.750 0.750 0.750
Au2 0.250 0.250 0.250
Pu1 0.500 0.500 0.500

Values from the calculation:
SG: Fm-3m
crystal system: cubic

An optimized crystal structure of Sn2H10C8N2O13, computed with PBE.

a = 10.220 Å, b = 6.163 Å, c = 14.820 Å
α = 90.00°, β = 109.77°, γ = 90.00°
Fractional coordinates of all 70 atoms:
H1 0.465 0.857 0.853
H2 0.346 0.066 0.468
H3 0.535 0.143 0.147
H4 0.345 0.934 0.315
H5 0.592 0.795 0.025
H6 0.592 0.205 0.525
H7 0.408 0.205 0.975
H8 0.517 0.121 0.859
H9 0.654 0.066 0.032
H10 0.465 0.143 0.353
H11 0.655 0.066 0.685
H12 0.483 0.121 0.641
H13 0.408 0.795 0.475
H14 0.535 0.857 0.647
H15 0.483 0.879 0.141
H16 0.346 0.934 0.968
H17 0.654 0.934 0.532
H18 0.345 0.066 0.815
H19 0.655 0.934 0.185
H20 0.517 0.879 0.359
O1 0.132 0.574 0.609
O2 0.350 0.697 0.133
O3 0.907 0.243 0.626
O4 0.827 0.207 0.750
O5 0.491 0.416 0.137
O6 0.509 0.584 0.863
O7 0.827 0.793 0.250
O8 0.000 0.766 0.750
O9 0.350 0.303 0.633
O10 0.721 0.140 0.356
O11 0.279 0.860 0.644
O12 0.509 0.416 0.363
O13 0.907 0.757 0.126
O14 0.868 0.426 0.391
O15 0.173 0.207 0.750
O16 0.093 0.757 0.374
O17 0.093 0.243 0.874
O18 0.173 0.793 0.250
O19 0.000 0.234 0.250
O20 0.650 0.697 0.367
O21 0.132 0.426 0.109
O22 0.279 0.140 0.144
O23 0.868 0.574 0.891
O24 0.650 0.303 0.867
O25 0.721 0.860 0.856
O26 0.491 0.584 0.637
C1 0.377 0.492 0.134
C2 0.623 0.492 0.366
C3 0.431 0.036 0.963
C4 0.569 0.964 0.037
C5 0.377 0.508 0.634
C6 0.569 0.036 0.537
C7 0.925 0.228 0.714
C8 0.253 0.662 0.629
C9 0.253 0.338 0.129
C10 0.075 0.228 0.786
C11 0.747 0.662 0.871
C12 0.623 0.508 0.866
C13 0.747 0.338 0.371
C14 0.075 0.772 0.286
C15 0.925 0.772 0.214
C16 0.431 0.964 0.463
N1 0.561 0.983 0.135
N2 0.561 0.017 0.635
N3 0.439 0.983 0.365
N4 0.439 0.017 0.865
Sn1 0.882 0.792 0.412
Sn2 0.882 0.208 0.912
Sn3 0.118 0.208 0.588
Sn4 0.118 0.792 0.088

Values from the calculation:
SG: P2/c
crystal system: monoclinic

For the records above, the corresponding energy of formation from the pure elements values read -1494, -131, -3355 kJ/mol of formula units.